Entry 1:
Entry from the Materials Project database: a geometry-optimized Ba4Nb2O3F12 structure (PBE-GGA).

Lattice parameters (Å, degrees): 23.0861 13.3305 15.2524 90.00 114.20 90.00
Closest atoms and distances in Å follow each position.
Space group C2/c (No. 15)
Asymmetric unit:
Ba1 0.0768 0.1598 0.3900  7 F 2.64-2.81, 1 O 2.90
Ba2 0.0828 0.1682 0.8885  9 F 2.65-2.95
Ba3 0.0842 0.4939 0.8872  8 F 2.59-2.86
Ba4 0.0867 0.0047 0.6426  6 F 2.65-2.93
Ba5 0.0944 0.3363 0.1590  7 F 2.68-2.87, 1 O 2.81
Ba6 0.2390 0.3230 0.8306  6 F 2.59-2.82, 1 O 2.69
Nb1 0.0608 0.3340 0.6021  1 O 1.76
Nb2 0.2373 0.3622 0.4132  2 O 1.79-1.94
Nb3 0.2390 0.0432 0.8889  2 O 1.79-1.91, 1 F 1.99
O1 0.1440 0.3213 0.6536  1 Nb 1.76
O2 0.1835 0.1007 0.5648  1 Nb 1.79
O3 0.1950 0.3848 0.1081  1 Nb 1.79
O4 0.2208 0.4526 0.5064  2 Nb 1.91-2.02
O5 0.2500 0.2500 0.5000  2 Nb 1.94
F1 0.0000 0.0488 0.7500  2 Ba 2.71, 4 F 2.89-3.02
F2 0.0000 0.3890 0.2500  2 Ba 2.69, 6 F 2.88-2.97
F3 0.0403 0.3361 0.4553  1 Nb 2.09
F4 0.0426 0.0053 0.9527  4 Ba 2.64-2.73, 3 F 2.88-2.94
F5 0.0437 0.2446 0.6987  1 Nb 2.05
F6 0.0442 0.3338 0.9619  1 Nb 2.21
F7 0.0455 0.4305 0.6957  1 Nb 2.06
F8 0.0473 0.1873 0.5495  1 Nb 2.09
F9 0.0489 0.1659 0.1997  4 Ba 2.65-2.70
F10 0.0691 0.4802 0.5612  1 Nb 2.08
F11 0.1322 0.1649 0.0915  4 Ba 2.72-2.83, 1 F 3.01
F12 0.1334 0.3256 0.3614  1 Nb 2.25
F13 0.1434 0.0148 0.3569  1 Nb 2.20
F14 0.1454 0.3327 0.8822  3 Ba 2.59-2.65
F15 0.1749 0.1398 0.7871  1 Nb 2.09
F16 0.1896 0.4733 0.3152  1 Nb 2.07
F17 0.2146 0.1343 0.9750  1 Nb 2.03
F18 0.2184 0.2782 0.2939  1 Nb 2.03
F19 0.2249 0.0445 0.2763  1 Nb 1.99

Properties
Formation energy: -3799 meV per atom
Energy with MP2020 corrections: -6.93 eV/atom
VASP energy: -6.57 eV/atom

=====

Entry 2:
Entry from the Materials Project database: a geometry-optimized Ba4NbP4O18F2 structure (PBE-GGA).

Lattice parameters (Å, degrees): 7.3776 7.5232 8.6676 93.04 90.70 90.77
Closest atoms and distances in Å follow each position.
Space group P-1 (No. 2)
Asymmetric unit:
Ba1 0.1698 0.1538 0.1902  1 F 2.54, 2 O 2.77-2.80
Ba2 0.1922 0.3606 0.7200  1 F 2.59, 3 O 2.67-2.86
Nb1 0.5000 0.0000 0.5000  6 O 1.90-2.10
P1 0.2828 0.6417 0.3123  4 O 1.53-1.58
P2 0.3140 0.8660 0.8357  4 O 1.53-1.59
O1 0.1540 0.7752 0.2440  1 P 1.53
O2 0.1787 0.4926 0.3902  1 P 1.54
O3 0.1905 0.0228 0.8821  1 P 1.54
O4 0.1988 0.7151 0.7585  1 P 1.53
O5 0.2569 0.0796 0.4922  1 Nb 1.90
O6 0.4194 0.8084 0.9791  1 P 1.54
O7 0.4209 0.5513 0.1948  1 P 1.58
O8 0.4267 0.7393 0.4240  1 P 1.58
O9 0.4663 0.9274 0.7210  1 P 1.59
F1 0.1916 0.4151 0.0175  1 O 2.45, 2 Ba 2.54-2.59

Properties
Formation energy: -2761 meV per atom
Energy with MP2020 corrections: -7.32 eV/atom
VASP energy: -6.87 eV/atom

=====

Entry 3:
Entry from the Materials Project database: a geometry-optimized Ba2NbP2O9F structure (PBE-GGA).

Lattice parameters (Å, degrees): 7.1952 7.2832 9.1635 90.00 91.20 90.00
Closest atoms and distances in Å follow each position.
Space group P2_1 (No. 4)
Asymmetric unit:
Ba1 0.1710 0.0000 0.0676  6 O 2.66-2.94, 1 F 2.82
Ba2 0.1719 0.2238 0.5718  6 O 2.69-2.95, 1 F 2.73
Nb1 0.4764 0.3577 0.2515  1 O 1.79
P1 0.3042 0.7205 0.4270  4 O 1.52-1.58
P2 0.3050 0.5082 0.9266  4 O 1.52-1.59
O1 0.1773 0.5824 0.5005  1 P 1.52
O2 0.1773 0.6451 0.0007  1 P 1.52
O3 0.1935 0.8805 0.3598  1 P 1.53
O4 0.1941 0.3481 0.8600  1 P 1.53
O5 0.2402 0.2836 0.2678  1 Nb 1.79
O6 0.4323 0.6040 0.8115  1 P 1.57
O7 0.4331 0.6253 0.3116  1 P 1.58
O8 0.4553 0.7993 0.5385  1 P 1.58
O9 0.4580 0.4301 0.0380  1 P 1.59
F1 0.2401 0.9487 0.7680  1 Nb 2.16

Properties
Formation energy: -3234 meV per atom
Energy with MP2020 corrections: -7.98 eV/atom
VASP energy: -7.54 eV/atom

=====

formation energy of number 2 (Ba4NbP4O18F2)? -2761 meV per atom